InP2Pb PBE-GGA optimized geometry; space-group type = F-43m, No. 216; M_tot = 0.00 μB per formula unit
1.0
-0.091 -4.484 -2.257
-2.761 -0.671 -4.139
2.250 -0.619 -4.445
P Pb In
2 1 1
Direct
0.750 0.750 0.750
0.000 0.000 0.000
0.250 0.250 0.250
0.500 0.500 0.500

I PBE-GGA optimized geometry; polymorph energy (0 for the lowest one) = 1.17 kcal/mol of atoms; space-group type = Immm, No. 71; M_tot = 0.00 μB per formula unit
1.0
2.983 0.000 0.000
0.000 3.759 0.000
-1.492 -1.879 4.148
I
1
Direct
0.000 0.000 0.000

SmSb2Te4 PBE-GGA optimized geometry; space-group type = I-42d, No. 122; M_tot = 0.00 μB per formula unit
1.0
-4.950 4.950 4.662
4.950 -4.950 4.662
4.950 4.950 -4.662
Te Sm Sb
8 2 4
Direct
0.378 0.750 0.254
0.875 0.622 0.372
0.872 0.625 0.872
0.754 0.000 0.128
0.375 0.246 0.246
0.496 0.125 0.746
0.250 0.504 0.628
0.000 0.128 0.754
0.500 0.500 0.000
0.750 0.250 0.500
0.925 0.375 0.050
0.625 0.675 0.550
0.325 0.875 0.950
0.125 0.075 0.450

PrP5O14 PBE-GGA optimized geometry; space-group type = P2_1/c, No. 14
1.0
-0.296 -6.387 -6.639
8.283 -2.583 2.116
-4.866 -8.752 8.637
O P Pr
56 20 4
Direct
0.816 0.288 0.091
0.581 0.375 0.250
0.595 0.731 0.386
0.187 0.721 0.097
0.419 0.600 0.261
0.385 0.419 0.876
0.880 0.579 0.381
0.923 0.099 0.788
0.615 0.915 0.850
0.684 0.288 0.591
0.316 0.712 0.409
0.115 0.085 0.650
0.089 0.786 0.500
0.885 0.915 0.350
0.411 0.786 0.000
0.081 0.600 0.761
0.907 0.725 0.111
0.577 0.099 0.288
0.419 0.625 0.750
0.885 0.581 0.624
0.813 0.279 0.903
0.313 0.721 0.597
0.886 0.913 0.651
0.114 0.087 0.349
0.690 0.031 0.503
0.081 0.625 0.250
0.919 0.400 0.239
0.077 0.901 0.212
0.905 0.731 0.886
0.687 0.279 0.403
0.620 0.579 0.881
0.909 0.120 0.223
0.423 0.901 0.712
0.380 0.421 0.119
0.581 0.400 0.739
0.614 0.913 0.151
0.115 0.419 0.376
0.386 0.087 0.849
0.810 0.031 0.003
0.310 0.969 0.497
0.190 0.969 0.997
0.405 0.269 0.614
0.120 0.421 0.619
0.591 0.120 0.723
0.407 0.275 0.389
0.184 0.712 0.909
0.095 0.269 0.114
0.091 0.880 0.777
0.911 0.214 0.500
0.919 0.375 0.750
0.385 0.085 0.150
0.589 0.214 0.000
0.409 0.880 0.277
0.093 0.275 0.889
0.593 0.725 0.611
0.615 0.581 0.124
0.003 0.995 0.704
0.501 0.504 0.824
0.953 0.258 0.836
0.497 0.995 0.204
0.547 0.258 0.336
0.001 0.496 0.676
0.253 0.815 0.000
0.499 0.496 0.176
0.997 0.005 0.296
0.999 0.504 0.324
0.049 0.732 0.837
0.753 0.185 0.500
0.247 0.815 0.500
0.453 0.742 0.664
0.747 0.185 0.000
0.503 0.005 0.796
0.047 0.742 0.164
0.549 0.268 0.663
0.951 0.268 0.163
0.451 0.732 0.337
0.312 0.224 0.999
0.188 0.224 0.499
0.812 0.776 0.501
0.688 0.776 0.001

La2Se2O PBE-GGA optimized geometry; space-group type = Pnma, No. 62
1.0
4.179 0.000 0.000
0.000 7.386 0.000
0.000 0.000 16.709
La Se O
8 8 4
Direct
0.750 0.758 0.335
0.750 0.200 0.462
0.250 0.800 0.538
0.250 0.700 0.038
0.250 0.242 0.665
0.750 0.300 0.962
0.750 0.742 0.835
0.250 0.258 0.165
0.750 0.490 0.601
0.750 0.010 0.101
0.250 0.049 0.324
0.250 0.510 0.399
0.750 0.951 0.676
0.250 0.451 0.824
0.750 0.549 0.176
0.250 0.990 0.899
0.250 0.128 0.532
0.750 0.628 0.968
0.250 0.372 0.032
0.750 0.872 0.468

DyMgSn PBE-GGA optimized geometry; space-group type = I4/mmm, No. 139
1.0
4.401 0.000 0.000
0.000 4.401 0.000
-2.200 -2.200 7.959
Mg Sn Dy
2 2 2
Direct
0.500 0.000 0.000
0.000 0.500 0.000
0.136 0.136 0.271
0.864 0.864 0.729
0.667 0.667 0.334
0.333 0.333 0.666

LaCuSi PBE-GGA optimized geometry; space-group type = P6_3/mmc, No. 194
1.0
-2.129 -3.687 0.000
-2.129 3.687 0.000
0.000 0.000 -8.197
Cu Si La
2 2 2
Direct
0.333 0.667 0.250
0.667 0.333 0.750
0.333 0.667 0.750
0.667 0.333 0.250
0.000 0.000 0.500
0.000 0.000 0.000

P PBE-GGA optimized geometry; polymorph energy (0 for the lowest one) = 0.82 kcal/mol of atoms; space-group type = Cmce, No. 64
1.0
-3.306 0.000 0.000
0.000 0.000 -4.552
1.653 -5.611 0.000
P
4
Direct
0.594 0.913 0.189
0.094 0.587 0.189
0.906 0.413 0.811
0.406 0.087 0.811

Cs2CuBrCl3 PBE-GGA optimized geometry; space-group type = I4mm, No. 107; M_tot = 0.87 μB per formula unit
1.0
8.946 2.248 -0.693
7.739 -3.327 3.821
-7.973 -1.786 -4.337
Cl Br Cu Cs
3 1 1 2
Direct
0.859 0.859 0.000
0.999 0.499 0.500
0.499 0.999 0.500
0.145 0.145 0.000
0.997 0.997 0.000
0.364 0.364 0.000
0.637 0.637 0.000

MgNbBi3O7 PBE-GGA optimized geometry; polymorph energy (0 for the lowest one) = 0.00 kcal/mol of atoms; space-group type = Cm, No. 8; M_tot = 0.00 μB per formula unit
1.0
3.685 -0.022 0.204
1.819 3.157 -0.001
8.213 3.681 16.144
Mg Nb Bi O
1 1 3 7
Direct
0.919 0.288 0.883
0.963 0.055 0.489
0.214 0.777 0.065
0.978 0.151 0.687
0.092 0.887 0.291
0.772 0.893 0.617
0.172 0.412 0.758
0.297 0.321 0.522
0.907 0.630 0.216
0.298 0.148 0.359
0.778 0.720 0.453
0.529 0.928 0.911

HfAu9 PBE-GGA optimized geometry; space-group type = C2/m, No. 12
1.0
-5.034 1.002 -0.143
-3.664 -1.160 -3.405
-1.810 -8.014 4.550
Au Hf
9 1
Direct
0.800 0.800 0.596
0.702 0.702 0.901
0.000 0.000 0.000
0.401 0.401 0.797
0.094 0.094 0.698
0.200 0.200 0.404
0.906 0.906 0.302
0.298 0.298 0.099
0.599 0.599 0.203
0.500 0.500 0.500

Si7GeN10 PBE-GGA optimized geometry; space-group type = Pc, No. 7; M_tot = 0.00 μB per formula unit
1.0
6.961 0.000 -0.035
0.000 6.750 0.000
-2.732 0.000 9.388
Si N Ge
14 20 2
Direct
0.840 0.379 0.304
0.098 0.407 0.076
0.660 0.631 0.491
0.289 0.386 0.383
0.540 0.973 0.828
0.660 0.369 0.991
0.098 0.593 0.576
0.478 0.373 0.688
0.478 0.627 0.188
0.357 0.968 0.517
0.289 0.614 0.883
0.840 0.621 0.804
0.357 0.032 0.017
0.540 0.027 0.328
0.694 0.414 0.824
0.694 0.586 0.324
0.880 0.611 0.630
0.310 0.872 0.864
0.310 0.128 0.364
0.490 0.540 0.024
0.417 0.117 0.671
0.725 0.832 0.818
0.490 0.460 0.524
0.552 0.138 0.968
0.880 0.389 0.130
0.165 0.167 0.045
0.072 0.571 0.932
0.417 0.883 0.171
0.281 0.501 0.224
0.072 0.429 0.432
0.552 0.862 0.468
0.165 0.833 0.545
0.281 0.499 0.724
0.725 0.168 0.318
0.095 0.980 0.182
0.095 0.020 0.682

HfB6 PBE-GGA optimized geometry; space-group type = Pm-3m, No. 221; M_tot = 0.00 μB per formula unit
1.0
-1.740 -3.623 0.369
3.054 -1.229 2.335
-1.984 1.286 3.271
Hf B
1 6
Direct
0.000 0.000 0.000
0.500 0.803 0.500
0.500 0.500 0.197
0.197 0.500 0.500
0.500 0.197 0.500
0.803 0.500 0.500
0.500 0.500 0.803

HfMg6Ti PBE-GGA optimized geometry; polymorph energy (0 for the lowest one) = 0.00 kcal/mol of atoms; M_tot = 1.53 μB per formula unit
1.0
4.972 0.000 0.000
0.000 6.266 0.000
0.000 0.000 11.203
Mg Ti Hf
12 2 2
Direct
0.500 0.000 0.167
0.000 0.257 0.081
0.500 0.500 0.667
0.500 0.241 0.921
0.000 0.743 0.081
0.500 0.259 0.421
0.000 0.000 0.332
0.000 0.243 0.581
0.500 0.741 0.421
0.000 0.757 0.581
0.000 0.500 0.832
0.500 0.759 0.921
0.000 0.500 0.319
0.000 0.000 0.819
0.500 0.500 0.180
0.500 0.000 0.680

RbNaSi2O5 PBE-GGA optimized geometry; space-group type = P2_1/c, No. 14; M_tot = 0.00 μB per formula unit
1.0
13.781 0.000 0.000
0.000 4.944 0.000
0.000 0.138 7.912
Na O Rb Si
4 20 4 8
Direct
0.592 0.770 0.539
0.908 0.770 0.039
0.092 0.230 0.961
0.408 0.230 0.461
0.389 0.885 0.075
0.435 0.758 0.405
0.928 0.618 0.333
0.611 0.115 0.925
0.572 0.618 0.833
0.243 0.272 0.500
0.111 0.885 0.575
0.889 0.115 0.425
0.565 0.242 0.595
0.935 0.242 0.095
0.429 0.254 0.837
0.065 0.758 0.905
0.071 0.254 0.337
0.929 0.746 0.663
0.428 0.382 0.167
0.757 0.728 0.500
0.072 0.382 0.667
0.743 0.728 0.000
0.571 0.746 0.163
0.257 0.272 0.000
0.697 0.280 0.284
0.803 0.280 0.784
0.197 0.720 0.216
0.303 0.720 0.716
0.631 0.792 0.979
0.369 0.208 0.021
0.955 0.297 0.290
0.545 0.297 0.790
0.455 0.703 0.210
0.131 0.208 0.521
0.045 0.703 0.710
0.869 0.792 0.479

Record order is preserved below.
ΔE_f: 2.32 0.05 -4.73 -56.47 -13.58 -1.70 -1.78 0.04 -10.86 -24.56 -1.89 -19.40 0.70 1.11 -26.16 eV per formula unit